Entry 1:
Compound: YBi3F15
Source: Materials Project
Functional: PBE
Structure: optimized geometry

Results
Volume ... 18.76 Å³/atom

Cell: 5.9628 11.6562 10.5160 Å, 90.00 102.70 90.00°
With the nearest neighbours (Å) after each atom.
Space group P2_1/m (No. 11)
Inequivalent atoms, fractional coordinates:
Y  0.2491  0.2500  0.1513  6 F 2.17-2.25
Bi  0.0000  0.0000  0.5000  6 F 2.02-2.09
Bi  0.3606  0.0618  0.8410  5 F 2.21-2.32
F  0.0015  0.0254  0.3034  1 Bi 2.09
F  0.0942  0.7500  0.8061  1 F 2.01, 1 Y 2.19
F  0.1584  0.1365  0.9748  1 Bi 2.22, 1 Y 2.25
F  0.1715  0.2500  0.3489  1 F 2.01, 1 Y 2.23
F  0.2280  0.6275  0.4991  1 Bi 2.02
F  0.2725  0.1036  0.5856  1 Bi 2.07
F  0.3414  0.5800  0.9927  2 Bi 2.21-2.32
F  0.4468  0.0964  0.2158  1 Y 2.17, 1 Bi 2.32
F  0.4519  0.2500  0.8220  2 Bi 2.28


Entry 2:
Compound: Ag3SBr
Source: Materials Project
Functional: PBE
Structure: optimized geometry

Results
Volume ... 23.62 Å³/atom

Cell: 4.9217 4.8253 4.9807 Å, 90.00 93.28 90.00°
With the nearest neighbours (Å) after each atom.
Space group Pm (No. 6)
Inequivalent atoms, fractional coordinates:
Ag  0.0000  0.0000  0.0000  2 S 2.53-2.55
Ag  0.1147  0.5000  0.6503  2 S 2.52
Ag  0.5904  0.0000  0.4097  2 S 2.48-2.53
S  0.1010  0.0000  0.5071  6 Ag 2.48-2.55
Br  0.6038  0.5000  0.0184  6 Ag 2.94-3.20


The records above give, respectively, DFT total energy values of -183.18; -14.97 eV per cell.
The records above give, respectively, ΔH_f (0 K) values of -2.72; -0.35 eV/atom.